1.
MgSnAs2 | GGA-PBE | optimized geometry

Values from the calculation:
- E_form (eV/atom) = -0.31
- calculated total energy (eV/atom) = -4.044
- SG = I-42d, No. 122

a = 7.436 Å, b = 7.436 Å, c = 7.436 Å
α = 131.05°, β = 131.05°, γ = 71.73°
Fractional positions:
Sn (0.750, 0.250, 0.500)
Sn (0.000, 0.000, 0.000)
As (0.126, 0.125, 0.501)
As (0.624, 0.625, 0.499)
As (0.375, 0.874, 0.999)
As (0.875, 0.376, 0.001)
Mg (0.250, 0.750, 0.500)
Mg (0.500, 0.500, 0.000)

=====

2.
Sb4IO6 | GGA-PBE | optimized geometry

Values from the calculation:
- E_form (eV/atom) = -1.53
- calculated total energy (eV/atom) = -5.497
- magnetization (μB/cell) = 0.62
- SG = C2/m, No. 12

a = 9.800 Å, b = 9.800 Å, c = 11.256 Å
α = 71.52°, β = 71.52°, γ = 24.56°
Fractional positions:
O (0.413, 0.413, 0.219)
O (0.032, 0.032, 0.210)
O (0.430, 0.430, 0.919)
O (0.266, 0.266, 0.191)
O (0.734, 0.734, 0.809)
O (0.813, 0.813, 0.998)
O (0.204, 0.204, 0.711)
O (0.587, 0.587, 0.781)
O (0.968, 0.968, 0.790)
O (0.796, 0.796, 0.289)
O (0.570, 0.570, 0.081)
O (0.187, 0.187, 0.002)
Sb (0.309, 0.309, 0.334)
Sb (0.734, 0.734, 0.168)
Sb (0.505, 0.505, 0.269)
Sb (0.266, 0.266, 0.832)
Sb (0.495, 0.495, 0.731)
Sb (0.920, 0.920, 0.980)
Sb (0.691, 0.691, 0.666)
Sb (0.080, 0.080, 0.020)
I (0.111, 0.111, 0.477)
I (0.889, 0.889, 0.523)

=====

3.
Gd2AgHg | GGA-PBE | optimized geometry

Values from the calculation:
- E_form (eV/atom) = -0.40
- calculated total energy (eV/atom) = -8.223
- SG = Fm-3m, No. 225

a = 5.265 Å, b = 5.265 Å, c = 5.265 Å
α = 60.00°, β = 60.00°, γ = 60.00°
Fractional positions:
Ag (0.500, 0.500, 0.500)
Gd (0.750, 0.750, 0.750)
Gd (0.250, 0.250, 0.250)
Hg (0.000, 0.000, 0.000)

=====

4.
Cs6Hf5O4F26 | GGA-PBE | optimized geometry

Values from the calculation:
- E_form (eV/atom) = -3.29
- calculated total energy (eV/atom) = -5.975
- magnetization (μB/cell) = 8.00
- SG = C2/m, No. 12

a = 12.198 Å, b = 12.198 Å, c = 11.183 Å
α = 68.02°, β = 68.02°, γ = 32.91°
Fractional positions:
F (0.257, 0.668, 0.925)
F (0.965, 0.310, 0.382)
F (0.310, 0.965, 0.382)
F (0.774, 0.321, 0.591)
F (0.995, 0.375, 0.121)
F (0.035, 0.690, 0.618)
F (0.625, 0.005, 0.879)
F (0.034, 0.034, 0.386)
F (0.005, 0.625, 0.879)
F (0.070, 0.453, 0.267)
F (0.226, 0.679, 0.409)
F (0.453, 0.070, 0.267)
F (0.137, 0.137, 0.604)
F (0.966, 0.966, 0.614)
F (0.321, 0.774, 0.591)
F (0.332, 0.743, 0.075)
F (0.375, 0.995, 0.121)
F (0.930, 0.547, 0.733)
F (0.690, 0.035, 0.618)
F (0.547, 0.930, 0.733)
F (0.579, 0.579, 0.840)
F (0.421, 0.421, 0.160)
F (0.668, 0.257, 0.925)
F (0.863, 0.863, 0.396)
F (0.743, 0.332, 0.075)
F (0.679, 0.226, 0.409)
Cs (0.334, 0.334, 0.426)
Cs (0.574, 0.574, 0.270)
Cs (0.666, 0.666, 0.574)
Cs (0.863, 0.863, 0.089)
Cs (0.426, 0.426, 0.730)
Cs (0.137, 0.137, 0.911)
O (0.958, 0.958, 0.248)
O (0.042, 0.042, 0.752)
O (0.712, 0.712, 0.952)
O (0.288, 0.288, 0.048)
Hf (0.068, 0.068, 0.535)
Hf (0.500, 0.500, 0.000)
Hf (0.932, 0.932, 0.465)
Hf (0.204, 0.204, 0.236)
Hf (0.796, 0.796, 0.764)

=====

- Among the records above, which one has the highest E_form?
  MgSnAs2

=====

Repeat the third record exactly.
Gd2AgHg | GGA-PBE | optimized geometry

Values from the calculation:
- E_form (eV/atom) = -0.40
- calculated total energy (eV/atom) = -8.223
- SG = Fm-3m, No. 225

a = 5.265 Å, b = 5.265 Å, c = 5.265 Å
α = 60.00°, β = 60.00°, γ = 60.00°
Fractional positions:
Ag (0.500, 0.500, 0.500)
Gd (0.750, 0.750, 0.750)
Gd (0.250, 0.250, 0.250)
Hg (0.000, 0.000, 0.000)

=====

- The highest E_form belongs to which entry?
  MgSnAs2